Run A
Computed, not measured: a geometry-optimized LiFe2OF3 structure at the GGA+U level of DFT.

a = 5.943 Å, b = 5.943 Å, c = 6.087 Å
α = 116.54°, β = 116.54°, γ = 64.72°
Element x y z (fractional)
1 Li 0.000 0.000 0.000
2 Li 0.000 0.000 0.500
3 Fe 0.000 0.500 0.000
4 Fe 0.394 0.394 0.559
5 Fe 0.500 0.000 0.000
6 Fe 0.606 0.606 0.441
7 O 0.244 0.244 0.195
8 O 0.756 0.756 0.805
9 F 0.221 0.768 0.743
10 F 0.232 0.779 0.257
11 F 0.252 0.252 0.738
12 F 0.748 0.748 0.262
13 F 0.768 0.221 0.743
14 F 0.779 0.232 0.257

Values from the calculation:
- calculated volume (Å³ per atom) = 11.78

---

Run B
Computed, not measured: a geometry-optimized LiFe2OF3 structure at the GGA+U level of DFT.

a = 10.482 Å, b = 6.242 Å, c = 5.181 Å
α = 90.00°, β = 90.00°, γ = 90.00°
Element x y z (fractional)
1 Li 0.092 0.250 0.022
2 Li 0.408 0.750 0.522
3 Li 0.592 0.250 0.478
4 Li 0.908 0.750 0.978
5 Fe 0.000 0.000 0.500
6 Fe 0.000 0.500 0.500
7 Fe 0.241 0.750 0.000
8 Fe 0.259 0.250 0.500
9 Fe 0.500 0.000 0.000
10 Fe 0.500 0.500 0.000
11 Fe 0.741 0.750 0.500
12 Fe 0.759 0.250 0.000
13 O 0.086 0.250 0.656
14 O 0.414 0.750 0.156
15 O 0.586 0.250 0.844
16 O 0.914 0.750 0.344
17 F 0.073 0.750 0.795
18 F 0.166 0.017 0.224
19 F 0.166 0.483 0.224
20 F 0.334 0.517 0.724
21 F 0.334 0.983 0.724
22 F 0.427 0.250 0.295
23 F 0.573 0.750 0.705
24 F 0.666 0.017 0.276
25 F 0.666 0.483 0.276
26 F 0.834 0.517 0.776
27 F 0.834 0.983 0.776
28 F 0.927 0.250 0.205

Values from the calculation:
- calculated volume (Å³ per atom) = 12.11

---

Run C
Computed, not measured: a geometry-optimized LiFe2OF3 structure at the GGA+U level of DFT.

a = 10.774 Å, b = 6.164 Å, c = 5.020 Å
α = 90.00°, β = 90.00°, γ = 90.00°
Element x y z (fractional)
1 Li 0.092 0.250 0.053
2 Li 0.408 0.750 0.553
3 Li 0.592 0.250 0.447
4 Li 0.908 0.750 0.947
5 Fe 0.000 0.000 0.500
6 Fe 0.000 0.500 0.500
7 Fe 0.211 0.750 0.956
8 Fe 0.289 0.250 0.456
9 Fe 0.500 0.000 0.000
10 Fe 0.500 0.500 0.000
11 Fe 0.711 0.750 0.544
12 Fe 0.789 0.250 0.044
13 O 0.060 0.750 0.731
14 O 0.440 0.250 0.231
15 O 0.560 0.750 0.769
16 O 0.940 0.250 0.269
17 F 0.118 0.250 0.688
18 F 0.168 0.010 0.232
19 F 0.168 0.490 0.232
20 F 0.332 0.510 0.732
21 F 0.332 0.990 0.732
22 F 0.382 0.750 0.188
23 F 0.618 0.250 0.812
24 F 0.668 0.010 0.268
25 F 0.668 0.490 0.268
26 F 0.832 0.510 0.768
27 F 0.832 0.990 0.768
28 F 0.882 0.750 0.312

Values from the calculation:
- calculated volume (Å³ per atom) = 11.91

---

Name the least stable of them. run A.

---

Run A
Computed, not measured: a geometry-optimized Ga2NiO4 structure at the GGA+U level of DFT.

a = 5.916 Å, b = 5.916 Å, c = 19.563 Å
α = 98.49°, β = 98.49°, γ = 60.62°
Element x y z (fractional)
1 Ga 0.000 0.000 0.000
2 Ga 0.100 0.100 0.287
3 Ga 0.200 0.200 0.568
4 Ga 0.225 0.725 0.659
5 Ga 0.226 0.721 0.157
6 Ga 0.250 0.250 0.750
7 Ga 0.473 0.976 0.410
8 Ga 0.475 0.975 0.908
9 Ga 0.500 0.500 0.500
10 Ga 0.700 0.700 0.065
11 Ga 0.721 0.226 0.157
12 Ga 0.725 0.225 0.659
13 Ga 0.751 0.751 0.254
14 Ga 0.950 0.950 0.817
15 Ga 0.975 0.475 0.908
16 Ga 0.976 0.473 0.410
17 Ni 0.225 0.225 0.157
18 Ni 0.350 0.350 0.033
19 Ni 0.447 0.447 0.315
20 Ni 0.475 0.475 0.908
21 Ni 0.600 0.600 0.784
22 Ni 0.725 0.725 0.659
23 Ni 0.850 0.850 0.534
24 Ni 0.976 0.976 0.410
25 O 0.033 0.033 0.600
26 O 0.034 0.034 0.101
27 O 0.038 0.556 0.600
28 O 0.052 0.539 0.098
29 O 0.145 0.661 0.469
30 O 0.161 0.645 0.968
31 O 0.166 0.166 0.470
32 O 0.167 0.167 0.968
33 O 0.276 0.276 0.351
34 O 0.281 0.819 0.349
35 O 0.285 0.285 0.850
36 O 0.305 0.789 0.849
37 O 0.389 0.918 0.221
38 O 0.411 0.895 0.718
39 O 0.417 0.417 0.210
40 O 0.417 0.417 0.718
41 O 0.535 0.535 0.600
42 O 0.536 0.536 0.098
43 O 0.539 0.052 0.098
44 O 0.556 0.038 0.600
45 O 0.645 0.161 0.968
46 O 0.661 0.145 0.469
47 O 0.665 0.665 0.966
48 O 0.666 0.666 0.468
49 O 0.784 0.784 0.850
50 O 0.785 0.785 0.351
51 O 0.789 0.305 0.849
52 O 0.819 0.281 0.349
53 O 0.895 0.411 0.718
54 O 0.915 0.915 0.718
55 O 0.918 0.389 0.221
56 O 0.920 0.920 0.220

Values from the calculation:
- calculated volume (Å³ per atom) = 10.50

---

Run B
Computed, not measured: a geometry-optimized Ga2NiO4 structure at the GGA+U level of DFT.

a = 5.935 Å, b = 5.935 Å, c = 5.935 Å
α = 59.86°, β = 59.86°, γ = 59.86°
Element x y z (fractional)
1 Ga 0.000 0.000 0.000
2 Ga 0.382 0.382 0.871
3 Ga 0.382 0.871 0.382
4 Ga 0.871 0.382 0.382
5 Ni 0.381 0.381 0.381
6 Ni 0.756 0.756 0.756
7 O 0.133 0.133 0.606
8 O 0.133 0.606 0.133
9 O 0.134 0.134 0.134
10 O 0.161 0.625 0.625
11 O 0.606 0.133 0.133
12 O 0.619 0.619 0.619
13 O 0.625 0.161 0.625
14 O 0.625 0.625 0.161

Values from the calculation:
- calculated volume (Å³ per atom) = 10.52

---

Name the least stable of them. run B.

---

Run A
Computed, not measured: a geometry-optimized LiCr2P3O12 structure at the GGA+U level of DFT.

a = 8.314 Å, b = 8.653 Å, c = 14.432 Å
α = 90.00°, β = 125.12°, γ = 90.00°
Element x y z (fractional)
1 Li 0.001 0.216 0.319
2 Li 0.001 0.284 0.819
3 Li 0.999 0.716 0.181
4 Li 0.999 0.784 0.681
5 Cr 0.138 0.536 0.386
6 Cr 0.138 0.964 0.886
7 Cr 0.371 0.528 0.116
8 Cr 0.371 0.972 0.616
9 Cr 0.629 0.028 0.384
10 Cr 0.629 0.472 0.884
11 Cr 0.862 0.036 0.114
12 Cr 0.862 0.464 0.614
13 P 0.030 0.109 0.642
14 P 0.030 0.391 0.142
15 P 0.256 0.618 0.647
16 P 0.256 0.882 0.147
17 P 0.456 0.248 0.491
18 P 0.456 0.252 0.991
19 P 0.544 0.748 0.009
20 P 0.544 0.752 0.509
21 P 0.744 0.118 0.853
22 P 0.744 0.382 0.353
23 P 0.970 0.609 0.858
24 P 0.970 0.891 0.358
25 O 0.010 0.230 0.182
26 O 0.010 0.270 0.682
27 O 0.100 0.508 0.240
28 O 0.100 0.992 0.740
29 O 0.106 0.579 0.676
30 O 0.106 0.921 0.176
31 O 0.165 0.571 0.524
32 O 0.165 0.929 0.024
33 O 0.175 0.112 0.609
34 O 0.175 0.388 0.109
35 O 0.177 0.554 0.956
36 O 0.177 0.946 0.456
37 O 0.252 0.176 0.932
38 O 0.252 0.324 0.432
39 O 0.280 0.705 0.161
40 O 0.280 0.795 0.661
41 O 0.384 0.625 0.445
42 O 0.384 0.875 0.945
43 O 0.449 0.527 0.727
44 O 0.449 0.973 0.227
45 O 0.467 0.174 0.397
46 O 0.467 0.326 0.897
47 O 0.491 0.135 0.582
48 O 0.491 0.365 0.082
49 O 0.509 0.635 0.918
50 O 0.509 0.865 0.418
51 O 0.533 0.674 0.103
52 O 0.533 0.826 0.603
53 O 0.551 0.027 0.773
54 O 0.551 0.473 0.273
55 O 0.616 0.125 0.055
56 O 0.616 0.375 0.555
57 O 0.720 0.205 0.339
58 O 0.720 0.295 0.839
59 O 0.748 0.676 0.568
60 O 0.748 0.824 0.068
61 O 0.823 0.054 0.544
62 O 0.823 0.446 0.044
63 O 0.825 0.612 0.891
64 O 0.825 0.888 0.391
65 O 0.835 0.071 0.976
66 O 0.835 0.429 0.476
67 O 0.894 0.079 0.824
68 O 0.894 0.421 0.324
69 O 0.900 0.008 0.260
70 O 0.900 0.492 0.760
71 O 0.990 0.730 0.318
72 O 0.990 0.770 0.818

Values from the calculation:
- calculated volume (Å³ per atom) = 11.80

---

Run B
Computed, not measured: a geometry-optimized LiCr2P3O12 structure at the GGA+U level of DFT.

a = 8.568 Å, b = 8.568 Å, c = 6.259 Å
α = 105.82°, β = 105.82°, γ = 91.95°
Element x y z (fractional)
1 Li 0.000 0.000 0.000
2 Li 0.000 0.000 0.500
3 Cr 0.122 0.440 0.863
4 Cr 0.440 0.122 0.363
5 Cr 0.560 0.878 0.637
6 Cr 0.878 0.560 0.137
7 P 0.146 0.338 0.355
8 P 0.223 0.777 0.250
9 P 0.338 0.146 0.855
10 P 0.662 0.854 0.145
11 P 0.777 0.223 0.750
12 P 0.854 0.662 0.645
13 O 0.037 0.182 0.284
14 O 0.047 0.751 0.271
15 O 0.092 0.439 0.172
16 O 0.140 0.463 0.587
17 O 0.182 0.037 0.784
18 O 0.239 0.648 0.031
19 O 0.249 0.953 0.229
20 O 0.307 0.328 0.887
21 O 0.328 0.307 0.387
22 O 0.352 0.761 0.469
23 O 0.439 0.092 0.672
24 O 0.463 0.140 0.087
25 O 0.537 0.860 0.913
26 O 0.561 0.908 0.328
27 O 0.648 0.239 0.531
28 O 0.672 0.693 0.613
29 O 0.693 0.672 0.113
30 O 0.751 0.047 0.771
31 O 0.761 0.352 0.969
32 O 0.818 0.963 0.216
33 O 0.860 0.537 0.413
34 O 0.908 0.561 0.828
35 O 0.953 0.249 0.729
36 O 0.963 0.818 0.716

Values from the calculation:
- calculated volume (Å³ per atom) = 11.73

---

Run C
Computed, not measured: a geometry-optimized LiCr2P3O12 structure at the GGA+U level of DFT.

a = 8.506 Å, b = 8.506 Å, c = 8.561 Å
α = 119.88°, β = 119.88°, γ = 60.56°
Element x y z (fractional)
1 Li 0.000 0.500 0.000
2 Li 0.500 0.000 0.500
3 Cr 0.137 0.637 0.853
4 Cr 0.363 0.863 0.647
5 Cr 0.637 0.137 0.353
6 Cr 0.863 0.363 0.147
7 P 0.040 0.960 0.250
8 P 0.253 0.455 0.464
9 P 0.455 0.253 0.964
10 P 0.545 0.747 0.036
11 P 0.747 0.545 0.536
12 P 0.960 0.040 0.750
13 O 0.010 0.125 0.202
14 O 0.065 0.764 0.084
15 O 0.090 0.443 0.266
16 O 0.125 0.010 0.702
17 O 0.187 0.478 0.614
18 O 0.236 0.935 0.416
19 O 0.259 0.414 0.939
20 O 0.317 0.621 0.519
21 O 0.379 0.683 0.981
22 O 0.414 0.259 0.439
23 O 0.443 0.090 0.766
24 O 0.478 0.187 0.114
25 O 0.522 0.813 0.886
26 O 0.557 0.910 0.234
27 O 0.586 0.741 0.561
28 O 0.621 0.317 0.019
29 O 0.683 0.379 0.481
30 O 0.741 0.586 0.061
31 O 0.764 0.065 0.584
32 O 0.813 0.522 0.386
33 O 0.875 0.990 0.298
34 O 0.910 0.557 0.734
35 O 0.935 0.236 0.916
36 O 0.990 0.875 0.798

Values from the calculation:
- calculated volume (Å³ per atom) = 12.24

---

Name the least stable of them. run B.

---

Run A
Computed, not measured: a geometry-optimized LiMnCoO4 structure at the GGA+U level of DFT.

a = 5.890 Å, b = 5.890 Å, c = 5.890 Å
α = 121.78°, β = 121.19°, γ = 87.44°
Element x y z (fractional)
1 Li 0.385 0.135 0.250
2 Li 0.615 0.865 0.750
3 Mn 0.000 0.500 0.500
4 Mn 0.500 0.500 0.000
5 Co 0.000 0.000 0.500
6 Co 0.000 0.500 0.000
7 O 0.201 0.729 0.472
8 O 0.243 0.271 0.972
9 O 0.250 0.277 0.527
10 O 0.250 0.722 0.973
11 O 0.750 0.278 0.027
12 O 0.750 0.723 0.473
13 O 0.757 0.729 0.028
14 O 0.799 0.271 0.528

Values from the calculation:
- calculated volume (Å³ per atom) = 10.08

---

Run B
Computed, not measured: a geometry-optimized LiMnCoO4 structure at the GGA+U level of DFT.

a = 5.889 Å, b = 5.889 Å, c = 5.889 Å
α = 120.92°, β = 119.65°, γ = 89.51°
Element x y z (fractional)
1 Li 0.000 0.000 0.000
2 Li 0.500 0.000 0.500
3 Mn 0.500 0.000 0.000
4 Mn 0.500 0.500 0.500
5 Co 0.000 0.500 0.500
6 Co 0.500 0.500 0.000
7 O 0.269 0.285 0.516
8 O 0.269 0.753 0.984
9 O 0.281 0.746 0.535
10 O 0.288 0.254 0.035
11 O 0.712 0.746 0.965
12 O 0.719 0.254 0.465
13 O 0.731 0.247 0.016
14 O 0.731 0.715 0.484

Values from the calculation:
- calculated volume (Å³ per atom) = 10.27

---

Name the least stable of them. run B.

---

Run A
Computed, not measured: a geometry-optimized MgMn4O8 structure at the GGA+U level of DFT.

a = 6.091 Å, b = 6.086 Å, c = 10.091 Å
α = 90.00°, β = 126.02°, γ = 90.00°
Element x y z (fractional)
1 Mg 0.000 0.249 0.000
2 Mg 0.000 0.751 0.500
3 Mn 0.133 0.238 0.377
4 Mn 0.133 0.762 0.877
5 Mn 0.624 0.001 0.620
6 Mn 0.624 0.999 0.120
7 Mn 0.627 0.244 0.378
8 Mn 0.627 0.495 0.624
9 Mn 0.627 0.505 0.124
10 Mn 0.627 0.756 0.878
11 O 0.391 0.222 0.608
12 O 0.391 0.778 0.108
13 O 0.411 0.458 0.391
14 O 0.411 0.542 0.891
15 O 0.413 0.242 0.133
16 O 0.413 0.758 0.633
17 O 0.419 0.021 0.389
18 O 0.419 0.979 0.889
19 O 0.831 0.231 0.612
20 O 0.831 0.769 0.112
21 O 0.853 0.023 0.361
22 O 0.853 0.472 0.365
23 O 0.853 0.528 0.865
24 O 0.853 0.977 0.861
25 O 0.868 0.237 0.139
26 O 0.868 0.763 0.639

Values from the calculation:
- calculated volume (Å³ per atom) = 11.64

---

Run B
Computed, not measured: a geometry-optimized MgMn4O8 structure at the GGA+U level of DFT.

a = 6.901 Å, b = 6.901 Å, c = 9.518 Å
α = 133.53°, β = 133.53°, γ = 25.75°
Element x y z (fractional)
1 Mg 0.000 0.000 0.000
2 Mn 0.148 0.148 0.477
3 Mn 0.330 0.330 0.182
4 Mn 0.670 0.670 0.818
5 Mn 0.852 0.852 0.523
6 O 0.049 0.049 0.713
7 O 0.320 0.320 0.961
8 O 0.335 0.335 0.384
9 O 0.358 0.358 0.678
10 O 0.642 0.642 0.322
11 O 0.665 0.665 0.616
12 O 0.680 0.680 0.039
13 O 0.951 0.951 0.287

Values from the calculation:
- calculated volume (Å³ per atom) = 10.72

---

Name the least stable of them. run B.